No. 1
This record from Materials Project describes an optimized crystal structure of Mn3Co2P4O20. The functional is GGA+U.

abc: 9.6519 9.6519 9.3131
angles: 97.60 97.60 55.99
Last column: nearest neighbours and their distance in Å.
Fractional coordinates of all 58 atoms:
Mn  0.1048  0.8952  0.7500  4 O 1.94-2.00
Mn  0.1573  0.1985  0.8948  4 O 1.89-2.05
Mn  0.1985  0.1573  0.3948  4 O 1.89-2.05
Mn  0.8015  0.8427  0.6052  4 O 1.89-2.05
Mn  0.8427  0.8015  0.1052  4 O 1.89-2.05
Mn  0.8952  0.1048  0.2500  4 O 1.94-2.00
Co  0.2519  0.3775  0.1897  2 O 1.64-1.77
Co  0.3775  0.2519  0.6897  2 O 1.64-1.77
Co  0.6225  0.7481  0.3103  2 O 1.64-1.77
Co  0.7481  0.6225  0.8103  2 O 1.64-1.77
P  0.0878  0.5979  0.8511  4 O 1.54-1.58
P  0.1070  0.7347  0.3768  4 O 1.52-1.62
P  0.2653  0.8930  0.1232  4 O 1.52-1.62
P  0.4021  0.9122  0.6489  4 O 1.54-1.58
P  0.5979  0.0878  0.3511  4 O 1.54-1.58
P  0.7347  0.1070  0.8768  4 O 1.52-1.62
P  0.8930  0.2653  0.6232  4 O 1.52-1.62
P  0.9122  0.4021  0.1489  4 O 1.54-1.58
O  0.0289  0.7961  0.5260  1 P 1.55
O  0.0301  0.1326  0.7376  1 P 1.62
O  0.0448  0.6280  0.0120  1 P 1.55
O  0.0840  0.3302  0.2436  1 P 1.58
O  0.1226  0.5695  0.3170  1 P 1.55
O  0.1326  0.0301  0.2376  1 P 1.62
O  0.1757  0.6796  0.8142  1 P 1.54
O  0.1982  0.4056  0.8232  1 P 1.54
O  0.2039  0.9711  0.9740  1 P 1.55
O  0.2283  0.2979  0.5393  1 Co 1.77, 1 Mn 1.89
O  0.2665  0.7325  0.3853  1 P 1.52
O  0.2675  0.7335  0.1147  1 P 1.52
O  0.2979  0.2283  0.0393  1 Co 1.77, 1 Mn 1.89
O  0.3204  0.8243  0.6858  1 P 1.54
O  0.3302  0.0840  0.7436  1 P 1.58
O  0.3720  0.9552  0.4880  1 P 1.55
O  0.3891  0.4171  0.1580  1 Co 1.64
O  0.4056  0.1982  0.3232  1 P 1.54
O  0.4171  0.3891  0.6580  1 Co 1.64
O  0.4305  0.8774  0.1830  1 P 1.55
O  0.5695  0.1226  0.8170  1 P 1.55
O  0.5829  0.6109  0.3420  1 Co 1.64
O  0.5944  0.8018  0.6768  1 P 1.54
O  0.6109  0.5829  0.8420  1 Co 1.64
O  0.6280  0.0448  0.5120  1 P 1.55
O  0.6698  0.9160  0.2564  1 P 1.58
O  0.6796  0.1757  0.3142  1 P 1.54
O  0.7021  0.7717  0.9607  1 Co 1.77, 1 Mn 1.89
O  0.7325  0.2665  0.8853  1 P 1.52
O  0.7335  0.2675  0.6147  1 P 1.52
O  0.7717  0.7021  0.4607  1 Co 1.77, 1 Mn 1.89
O  0.7961  0.0289  0.0260  1 P 1.55
O  0.8018  0.5944  0.1768  1 P 1.54
O  0.8243  0.3204  0.1858  1 P 1.54
O  0.8674  0.9699  0.7624  1 P 1.62
O  0.8774  0.4305  0.6830  1 P 1.55
O  0.9160  0.6698  0.7564  1 P 1.58
O  0.9552  0.3720  0.9880  1 P 1.55
O  0.9699  0.8674  0.2624  1 P 1.62
O  0.9711  0.2039  0.4740  1 P 1.55

Properties
Total energy   -6.72 eV per atom
Formation energy from the elements   -1.885 eV per atom
Theoretical density   3.39 g cm⁻³

***

No. 2
This record from Materials Project describes an optimized crystal structure of Mn3CoP4O16. The functional is GGA+U.

abc: 4.8958 6.0244 9.8206
angles: 90.00 90.23 90.00
Last column: nearest neighbours and their distance in Å.
Fractional coordinates of all 24 atoms:
Mn  0.0000  0.0000  0.0000  4 O 1.90-2.06
Mn  0.1262  0.5000  0.5651  4 O 1.91-2.01
Mn  0.6247  0.0000  0.4940  4 O 1.90-2.02
Co  0.5257  0.5000  0.0551  2 O 1.86-1.90
P  0.1406  0.0000  0.6805  4 O 1.54-1.56
P  0.4708  0.0000  0.1779  4 O 1.54-1.56
P  0.6398  0.5000  0.3793  4 O 1.54-1.56
P  0.9779  0.5000  0.8795  4 O 1.54-1.57
O  0.2037  0.0000  0.8340  1 P 1.54
O  0.2839  0.1999  0.6090  1 P 1.56
O  0.2839  0.8001  0.6090  1 P 1.56
O  0.2887  0.5000  0.9015  1 P 1.54
O  0.3293  0.2023  0.1084  1 P 1.56
O  0.3288  0.5000  0.3992  1 P 1.54
O  0.3293  0.7977  0.1084  1 P 1.56
O  0.4118  0.0000  0.3323  1 P 1.54
O  0.6982  0.5000  0.2247  1 P 1.55
O  0.7840  0.3004  0.4507  1 P 1.56
O  0.7840  0.6996  0.4507  1 P 1.56
O  0.7854  0.0000  0.1614  1 P 1.55
O  0.8288  0.0000  0.6605  1 P 1.54
O  0.8292  0.3014  0.9512  1 P 1.57
O  0.8292  0.6986  0.9512  1 P 1.57
O  0.9107  0.5000  0.7267  1 P 1.54

Properties
Total energy   -7.20 eV per atom
Formation energy from the elements   -2.296 eV per atom
Theoretical density   3.46 g cm⁻³

***

No. 3
This record from Materials Project describes an optimized crystal structure of Mn7CoP12O48. The functional is GGA+U.

abc: 8.4361 8.4496 11.7570
angles: 89.99 89.97 89.93
Last column: nearest neighbours and their distance in Å.
Fractional coordinates of all 68 atoms:
Mn  0.0000  0.0000  0.0000  6 O 1.89-1.92
Mn  0.0000  0.5001  0.2624  6 O 1.88-1.92
Mn  0.0692  0.4996  0.7640  6 O 1.87-1.93
Mn  0.4999  0.4991  0.9999  6 O 1.88-1.92
Mn  0.4997  0.9987  0.2632  6 O 1.87-1.91
Mn  0.5688  0.9995  0.7639  6 O 1.88-1.92
Mn  0.5686  0.4993  0.4997  6 O 1.88-1.92
Co  0.0697  0.9982  0.4992  6 O 1.86-1.91
P  0.1430  0.3556  0.0270  4 O 1.52-1.55
P  0.1435  0.8561  0.2371  4 O 1.52-1.55
P  0.2842  0.2852  0.3807  4 O 1.53-1.55
P  0.2844  0.7858  0.8814  4 O 1.53-1.54
P  0.4258  0.3554  0.7364  4 O 1.52-1.55
P  0.4263  0.8569  0.5269  4 O 1.52-1.55
P  0.6428  0.1430  0.0273  4 O 1.52-1.55
P  0.6428  0.6431  0.2361  4 O 1.52-1.55
P  0.7845  0.7130  0.8819  4 O 1.53-1.54
P  0.7857  0.2130  0.3813  4 O 1.53-1.55
P  0.9253  0.1427  0.7357  4 O 1.52-1.56
P  0.9268  0.6429  0.5265  4 O 1.52-1.57
O  0.0204  0.4297  0.1087  1 P 1.54
O  0.0206  0.9271  0.1538  1 P 1.55
O  0.0482  0.5689  0.6089  1 P 1.54
O  0.0490  0.0704  0.6523  1 P 1.56
O  0.0940  0.9088  0.3555  1 P 1.52
O  0.0957  0.4077  0.9078  1 P 1.52
O  0.1346  0.1735  0.0412  1 P 1.55
O  0.1351  0.6739  0.2229  1 P 1.55
O  0.1747  0.1896  0.4606  1 P 1.55
O  0.1757  0.6892  0.8039  1 P 1.53
O  0.1922  0.3940  0.2988  1 P 1.54
O  0.1931  0.8959  0.9630  1 P 1.54
O  0.2537  0.9008  0.5587  1 P 1.55
O  0.2551  0.4003  0.7057  1 P 1.53
O  0.3136  0.4004  0.0577  1 P 1.53
O  0.3139  0.9005  0.2054  1 P 1.53
O  0.3745  0.3971  0.4615  1 P 1.54
O  0.3761  0.8947  0.7995  1 P 1.54
O  0.3930  0.6892  0.9592  1 P 1.53
O  0.3939  0.1894  0.3033  1 P 1.53
O  0.4345  0.1734  0.7224  1 P 1.55
O  0.4366  0.6754  0.5421  1 P 1.55
O  0.4733  0.9090  0.4079  1 P 1.52
O  0.4739  0.4080  0.8552  1 P 1.52
O  0.5204  0.5700  0.1540  1 P 1.54
O  0.5206  0.0693  0.1093  1 P 1.54
O  0.5478  0.4280  0.6534  1 P 1.54
O  0.5487  0.9311  0.6088  1 P 1.55
O  0.5953  0.0905  0.9083  1 P 1.52
O  0.5959  0.5900  0.3553  1 P 1.52
O  0.6338  0.3250  0.0416  1 P 1.55
O  0.6343  0.8251  0.2228  1 P 1.55
O  0.6757  0.8097  0.8041  1 P 1.53
O  0.6767  0.3087  0.4597  1 P 1.53
O  0.6934  0.1044  0.2996  1 P 1.54
O  0.6930  0.6034  0.9634  1 P 1.54
O  0.7543  0.0994  0.7060  1 P 1.53
O  0.7561  0.5982  0.5579  1 P 1.53
O  0.8138  0.0988  0.0581  1 P 1.53
O  0.8137  0.5990  0.2051  1 P 1.53
O  0.8762  0.1004  0.4633  1 P 1.55
O  0.8760  0.6037  0.8000  1 P 1.54
O  0.8926  0.3107  0.3035  1 P 1.53
O  0.8930  0.8099  0.9593  1 P 1.53
O  0.9348  0.3248  0.7221  1 P 1.55
O  0.9363  0.8269  0.5419  1 P 1.57
O  0.9733  0.0907  0.8548  1 P 1.52
O  0.9731  0.5899  0.4076  1 P 1.52

Properties
Total energy   -6.97 eV per atom
Formation energy from the elements   -2.151 eV per atom
Theoretical density   3.14 g cm⁻³

***

No. 4
This record from Materials Project describes an optimized crystal structure of Mn5CoP6O24. The functional is GGA+U.

abc: 8.5645 8.5645 8.5645
angles: 59.60 59.60 59.60
Last column: nearest neighbours and their distance in Å.
Fractional coordinates of all 36 atoms:
Mn  0.0000  0.0000  0.0000  6 O 2.23
Mn  0.1434  0.1434  0.1434  6 O 1.91-2.01
Mn  0.4984  0.4984  0.4984  6 O 2.21-2.26
Mn  0.6427  0.6427  0.6427  6 O 1.92-2.00
Mn  0.8562  0.8562  0.8562  6 O 1.92-2.01
Co  0.3583  0.3583  0.3583  6 O 1.91-1.96
P  0.0406  0.7470  0.4601  4 O 1.52-1.56
P  0.2511  0.5371  0.9649  4 O 1.51-1.57
P  0.4601  0.0406  0.7470  4 O 1.52-1.56
P  0.5371  0.9649  0.2511  4 O 1.51-1.57
P  0.7470  0.4601  0.0406  4 O 1.52-1.56
P  0.9649  0.2511  0.5371  4 O 1.51-1.57
O  0.0114  0.8003  0.6210  1 P 1.53
O  0.0563  0.9165  0.2639  1 P 1.56
O  0.0814  0.7350  0.9461  1 P 1.57
O  0.1252  0.3012  0.5097  1 P 1.51
O  0.1992  0.3782  0.9883  1 P 1.53
O  0.2365  0.5791  0.4435  1 P 1.56
O  0.2639  0.0563  0.9165  1 P 1.56
O  0.3012  0.5097  0.1252  1 P 1.51
O  0.3782  0.9883  0.1992  1 P 1.53
O  0.4165  0.5556  0.7651  1 P 1.57
O  0.4435  0.2365  0.5791  1 P 1.56
O  0.4881  0.8772  0.6993  1 P 1.52
O  0.5097  0.1252  0.3012  1 P 1.51
O  0.5556  0.7651  0.4165  1 P 1.57
O  0.5791  0.4435  0.2365  1 P 1.56
O  0.6210  0.0114  0.8003  1 P 1.53
O  0.6993  0.4881  0.8772  1 P 1.52
O  0.7350  0.9461  0.0814  1 P 1.57
O  0.7651  0.4165  0.5556  1 P 1.57
O  0.8003  0.6210  0.0114  1 P 1.53
O  0.8772  0.6993  0.4881  1 P 1.52
O  0.9165  0.2639  0.0563  1 P 1.56
O  0.9461  0.0814  0.7350  1 P 1.57
O  0.9883  0.1992  0.3782  1 P 1.53

Properties
Total energy   -7.27 eV per atom
Formation energy from the elements   -2.332 eV per atom
Theoretical density   3.41 g cm⁻³

***

No. 5
This record from Materials Project describes an optimized crystal structure of Mn3CoP6O24. The functional is GGA+U.

abc: 8.6631 8.6631 8.6631
angles: 58.09 58.09 58.09
Last column: nearest neighbours and their distance in Å.
Fractional coordinates of all 34 atoms:
Mn  0.0000  0.0000  0.0000  6 O 1.88-1.92
Mn  0.2121  0.2121  0.2121  6 O 1.89-1.92
Mn  0.5003  0.5003  0.5003  6 O 1.88-1.93
Co  0.7114  0.7114  0.7114  6 O 1.87-1.91
P  0.1039  0.8216  0.3917  4 O 1.53-1.55
P  0.3235  0.6064  0.8896  4 O 1.54
P  0.3917  0.1039  0.8216  4 O 1.53-1.55
P  0.6064  0.8896  0.3235  4 O 1.54
P  0.8216  0.3917  0.1039  4 O 1.53-1.55
P  0.8896  0.3235  0.6064  4 O 1.54
O  0.0762  0.2965  0.4303  1 P 1.54
O  0.0812  0.8437  0.2163  1 P 1.53
O  0.1295  0.9961  0.3686  1 P 1.54
O  0.1379  0.7840  0.9130  1 P 1.54
O  0.2163  0.0812  0.8437  1 P 1.53
O  0.2810  0.6356  0.4162  1 P 1.54
O  0.2965  0.4303  0.0762  1 P 1.54
O  0.3443  0.5828  0.7151  1 P 1.54
O  0.3686  0.1295  0.9961  1 P 1.54
O  0.4162  0.2810  0.6356  1 P 1.54
O  0.4303  0.0762  0.2965  1 P 1.54
O  0.4986  0.6287  0.8708  1 P 1.54
O  0.5797  0.9268  0.7969  1 P 1.55
O  0.5828  0.7151  0.3443  1 P 1.54
O  0.6287  0.8708  0.4986  1 P 1.54
O  0.6356  0.4162  0.2810  1 P 1.54
O  0.7151  0.3443  0.5828  1 P 1.54
O  0.7840  0.9130  0.1379  1 P 1.54
O  0.7969  0.5797  0.9268  1 P 1.55
O  0.8437  0.2163  0.0812  1 P 1.53
O  0.8708  0.4986  0.6287  1 P 1.54
O  0.9130  0.1379  0.7840  1 P 1.54
O  0.9268  0.7969  0.5797  1 P 1.55
O  0.9961  0.3686  0.1295  1 P 1.54

Properties
Total energy   -6.90 eV per atom
Formation energy from the elements   -2.114 eV per atom
Theoretical density   3.00 g cm⁻³

***

No. 6
This record from Materials Project describes an optimized crystal structure of Mn3Co2SnP6O24. The functional is GGA+U.

abc: 8.5558 8.5558 8.5558
angles: 60.66 60.66 60.66
Last column: nearest neighbours and their distance in Å.
Fractional coordinates of all 36 atoms:
Mn  0.0000  0.0000  0.0000  6 O 1.95-2.07
Mn  0.2119  0.2119  0.2119  6 O 1.93-2.03
Mn  0.4987  0.4987  0.4987  6 O 1.95-2.05
Co  0.3556  0.3556  0.3556  6 O 2.18-2.19
Co  0.8597  0.8597  0.8597  6 O 2.11-2.24
Sn  0.7121  0.7121  0.7121  6 O 2.01-2.10
P  0.1102  0.8120  0.3965  4 O 1.53-1.58
P  0.3056  0.6036  0.9019  4 O 1.52-1.57
P  0.3965  0.1102  0.8120  4 O 1.53-1.58
P  0.6036  0.9019  0.3056  4 O 1.52-1.57
P  0.8120  0.3965  0.1102  4 O 1.53-1.58
P  0.9019  0.3056  0.6036  4 O 1.52-1.57
O  0.0433  0.8464  0.2433  1 P 1.53
O  0.1000  0.2924  0.4424  1 P 1.57
O  0.1103  0.7657  0.9181  1 P 1.56
O  0.1745  0.9683  0.3598  1 P 1.53
O  0.2433  0.0433  0.8464  1 P 1.53
O  0.2693  0.6137  0.4124  1 P 1.56
O  0.2924  0.4424  0.1000  1 P 1.57
O  0.3449  0.5455  0.7411  1 P 1.52
O  0.3598  0.1745  0.9683  1 P 1.53
O  0.4124  0.2693  0.6137  1 P 1.56
O  0.4424  0.1000  0.2924  1 P 1.57
O  0.4612  0.6674  0.8715  1 P 1.54
O  0.5455  0.7411  0.3449  1 P 1.52
O  0.5970  0.9484  0.7982  1 P 1.58
O  0.6137  0.4124  0.2693  1 P 1.56
O  0.6674  0.8715  0.4612  1 P 1.54
O  0.7411  0.3449  0.5455  1 P 1.52
O  0.7657  0.9181  0.1103  1 P 1.56
O  0.7982  0.5970  0.9484  1 P 1.58
O  0.8464  0.2433  0.0433  1 P 1.53
O  0.8715  0.4612  0.6674  1 P 1.54
O  0.9181  0.1103  0.7657  1 P 1.56
O  0.9484  0.7982  0.5970  1 P 1.58
O  0.9683  0.3598  0.1745  1 P 1.53

Properties
Total energy   -7.05 eV per atom
Formation energy from the elements   -2.264 eV per atom
Theoretical density   3.59 g cm⁻³